The following is a meta-GGA r2SCAN calculation of a relaxed structure of Sm4Ga7Ag5, from the Materials Project.

abc: 4.3981 7.0632 10.2811
angles: 89.78 90.00 90.00
Fractional coordinates of all 16 atoms:
Sm (0.0000, 0.2134, 0.8314)
Ga (0.0000, 0.0813, 0.1503)
Ag (0.0000, 0.9606, 0.4021)
Ga (0.5000, 0.4223, 0.6513)
Ga (0.0000, 0.2970, 0.5372)
Ag (0.5000, 0.0458, 0.6003)
Ga (0.0000, 0.5776, 0.3480)
Ga (0.0000, 0.7941, 0.9633)
Ga (0.5000, 0.2045, 0.0366)
Ag (0.5000, 0.7012, 0.4604)
Ag (0.0000, 0.4593, 0.0972)
Sm (0.0000, 0.7190, 0.6684)
Ag (0.5000, 0.5395, 0.9032)
Ga (0.5000, 0.9191, 0.8486)
Sm (0.5000, 0.7852, 0.1709)
Sm (0.5000, 0.2802, 0.3309)

**Volume**: 319.4 Å³/cell
**Symmetry**: No. 6
**Total energy**: -19.65 eV per atom
**M_tot**: 0.00 μB/cell
**ΔH_f (0 K)**: -539 meV/atom

---

The following is a meta-GGA r2SCAN calculation of a relaxed structure of SmGa3Ag, from the Materials Project.

abc: 4.2236 4.2236 6.1940
angles: 70.07 70.07 90.00
Fractional coordinates of all 5 atoms:
Ag (0.7500, 0.2500, 0.5000)
Ga (0.6116, 0.6116, 0.7767)
Ga (0.3884, 0.3884, 0.2233)
Ga (0.2500, 0.7500, 0.5000)
Sm (0.0000, 0.0000, 0.0000)

**Volume**: 96.8 Å³/cell
**Symmetry**: No. 119
**Total energy**: -17.61 eV per atom
**M_tot**: 0.00 μB/cell
**ΔH_f (0 K)**: -527 meV/atom

---

The following is a meta-GGA r2SCAN calculation of a relaxed structure of Sm2GaAg, from the Materials Project.

abc: 5.2004 5.2004 5.2004
angles: 60.00 60.00 60.00
Fractional coordinates of all 4 atoms:
Sm (0.2500, 0.2500, 0.2500)
Ga (0.0000, 0.0000, 0.0000)
Sm (0.7500, 0.7500, 0.7500)
Ag (0.5000, 0.5000, 0.5000)

**Volume**: 99.4 Å³/cell
**Symmetry**: No. 225
**Total energy**: -23.55 eV per atom
**M_tot**: 0.26 μB/cell
**ΔH_f (0 K)**: -483 meV/atom

---

The following is a meta-GGA r2SCAN calculation of a relaxed structure of TbGa2Ag, from the Materials Project.

abc: 4.3296 6.9408 10.1790
angles: 90.00 90.00 90.00
Fractional coordinates of all 16 atoms:
Tb (0.7500, 0.2198, 0.1731)
Ga (0.2500, 0.2032, 0.9635)
Tb (0.2500, 0.7802, 0.8269)
Ag (0.2500, 0.0448, 0.4036)
Ga (0.7500, 0.5730, 0.6530)
Ag (0.7500, 0.4552, 0.9036)
Ga (0.2500, 0.7032, 0.5365)
Tb (0.2500, 0.2802, 0.6731)
Tb (0.7500, 0.7198, 0.3269)
Ga (0.7500, 0.2968, 0.4635)
Ga (0.2500, 0.4270, 0.3470)
Ga (0.7500, 0.7968, 0.0365)
Ga (0.7500, 0.0730, 0.8470)
Ag (0.2500, 0.5448, 0.0964)
Ag (0.7500, 0.9552, 0.5964)
Ga (0.2500, 0.9270, 0.1530)

**Volume**: 305.9 Å³/cell
**Symmetry**: No. 62
**Total energy**: -19.44 eV per atom
**M_tot**: 0.00 μB/cell
**ΔH_f (0 K)**: -575 meV/atom

---

The following is a meta-GGA r2SCAN calculation of a relaxed structure of Tb4Ga12Ag, from the Materials Project.

abc: 7.4791 7.4791 7.4791
angles: 109.47 109.47 109.47
Fractional coordinates of all 17 atoms:
Tb (0.5000, 0.0000, 0.0000)
Ga (0.0000, 0.3066, 0.3066)
Ga (0.5000, 0.2500, 0.7500)
Tb (0.5000, 0.5000, 0.5000)
Ga (0.2500, 0.7500, 0.5000)
Ga (0.6934, 0.0000, 0.6934)
Ga (0.6934, 0.6934, 0.0000)
Ga (0.3066, 0.3066, 0.0000)
Ga (0.2500, 0.5000, 0.7500)
Ga (0.5000, 0.7500, 0.2500)
Ag (0.0000, 0.0000, 0.0000)
Ga (0.7500, 0.2500, 0.5000)
Tb (0.0000, 0.5000, 0.0000)
Ga (0.7500, 0.5000, 0.2500)
Ga (0.0000, 0.6934, 0.6934)
Ga (0.3066, 0.0000, 0.3066)
Tb (0.0000, 0.0000, 0.5000)

**Volume**: 322.1 Å³/cell
**Symmetry**: No. 229
**Total energy**: -17.25 eV per atom
**M_tot**: 0.00 μB/cell
**ΔH_f (0 K)**: -567 meV/atom

---

The following is a meta-GGA r2SCAN calculation of a relaxed structure of TbGaAg, from the Materials Project.

abc: 5.6877 5.6877 7.1929
angles: 52.13 52.13 46.90
Fractional coordinates of all 6 atoms:
Ag (0.8266, 0.8266, 0.7219)
Ag (0.1734, 0.1734, 0.2781)
Tb (0.5335, 0.5335, 0.7095)
Ga (0.8422, 0.8422, 0.1172)
Ga (0.1578, 0.1578, 0.8828)
Tb (0.4665, 0.4665, 0.2905)

**Volume**: 126.3 Å³/cell
**Symmetry**: No. 12
**Total energy**: -21.89 eV per atom
**M_tot**: 0.00 μB/cell
**ΔH_f (0 K)**: -550 meV/atom

---

The following is a meta-GGA r2SCAN calculation of a relaxed structure of Ga12Ag2Te19, from the Materials Project.

abc: 10.2491 10.7317 10.2396
angles: 89.47 89.96 91.16
Fractional coordinates of all 33 atoms:
Te (0.2633, 0.1836, 0.9134)
Ag (0.9441, 0.9955, 0.0656)
Te (0.6669, 0.6745, 0.6820)
Te (0.8367, 0.7419, 0.0629)
Te (0.6830, 0.2982, 0.5551)
Te (0.4269, 0.8223, 0.9393)
Te (0.9335, 0.2441, 0.1779)
Ga (0.5771, 0.8363, 0.5054)
Ga (0.8177, 0.0955, 0.6056)
Ga (0.4227, 0.2607, 0.0913)
Te (0.1564, 0.9339, 0.2532)
Te (0.9746, 0.5724, 0.4070)
Te (0.4254, 0.0083, 0.5861)
Ga (0.8975, 0.7404, 0.5724)
Ga (0.4176, 0.5989, 0.0418)
Te (0.5878, 0.4366, 0.0230)
Te (0.4494, 0.6986, 0.3325)
Ga (0.5079, 0.1693, 0.4136)
Te (0.8082, 0.9250, 0.4211)
Ga (0.9372, 0.3906, 0.5689)
Te (0.7682, 0.0569, 0.8505)
Te (0.0669, 0.1805, 0.5794)
Te (0.9130, 0.4338, 0.8258)
Ga (0.4000, 0.8995, 0.1893)
Te (0.0965, 0.8078, 0.7162)
Te (0.3252, 0.3239, 0.3272)
Te (0.5791, 0.0791, 0.1842)
Ag (0.2009, 0.7298, 0.4515)
Ga (0.6850, 0.8294, 0.8819)
Ga (0.0128, 0.6568, 0.8996)
Te (0.1693, 0.5582, 0.0841)
Ga (0.1232, 0.1659, 0.3252)
Ga (0.0877, 0.3317, 0.9917)

**Volume**: 1126.0 Å³/cell
**Symmetry**: No. 1
**Total energy**: -20.42 eV per atom
**M_tot**: 0.00 μB/cell
**ΔH_f (0 K)**: -335 meV/atom

---

The following is a meta-GGA r2SCAN calculation of a relaxed structure of TmGaAg, from the Materials Project.

abc: 5.6496 5.6496 7.0083
angles: 52.29 52.29 46.49
Fractional coordinates of all 6 atoms:
Ga (0.8417, 0.8417, 0.1192)
Tm (0.5339, 0.5339, 0.7100)
Ga (0.1583, 0.1583, 0.8808)
Ag (0.8269, 0.8269, 0.7196)
Ag (0.1731, 0.1731, 0.2804)
Tm (0.4661, 0.4661, 0.2900)

**Volume**: 121.1 Å³/cell
**Symmetry**: No. 12
**Total energy**: -23.17 eV per atom
**M_tot**: 0.00 μB/cell
**ΔH_f (0 K)**: -526 meV/atom